Version i
# Ba2AlW3O7, optimized geometry, DFT PBE with a Hubbard U
# crystal system: orthorhombic
# volume: 14.96 Å³ per atom
# total magnetic moment: 3.00 μB per formula unit
data_Ba2AlW3O7
_space_group_name_H-M_alt 'P m m m'
_space_group_IT_number 47
_cell_length_a 3.445
_cell_length_b 4.161
_cell_length_c 13.565
_cell_angle_alpha 90.00
_cell_angle_beta 90.00
_cell_angle_gamma 90.00
loop_
_space_group_symop_operation_xyz
'x,y,z'
'-x,-y,-z'
'-x,-y,z'
'x,y,-z'
'x,-y,-z'
'-x,y,z'
'-x,y,-z'
'x,-y,z'
loop_
_atom_site_label
_atom_site_type_symbol
_atom_site_fract_x
_atom_site_fract_y
_atom_site_fract_z
_atom_site_occupancy
Ba1 Ba 0.000 0.000 0.190 1
Al1 Al 0.000 0.000 0.500 1
W1 W 0.500 0.500 0.000 1
W2 W 0.500 0.500 0.406 1
O1 O 0.000 0.500 0.325 1
O2 O 0.500 0.000 0.000 1
O3 O 0.500 0.000 0.377 1
O4 O 0.500 0.500 0.141 1

***

Version ii
# Ba2AlW3O7, optimized geometry, DFT PBE with a Hubbard U
# crystal system: orthorhombic
# volume: 15.71 Å³ per atom
# total magnetic moment: 5.09 μB per formula unit
data_Ba2AlW3O7
_space_group_name_H-M_alt 'P m m 2'
_space_group_IT_number 25
_cell_length_a 3.908
_cell_length_b 4.158
_cell_length_c 12.570
_cell_angle_alpha 90.00
_cell_angle_beta 90.00
_cell_angle_gamma 90.00
loop_
_space_group_symop_operation_xyz
'x,y,z'
'-x,-y,z'
'-x,y,z'
'x,-y,z'
loop_
_atom_site_label
_atom_site_type_symbol
_atom_site_fract_x
_atom_site_fract_y
_atom_site_fract_z
_atom_site_occupancy
Ba1 Ba 0.000 0.000 0.000 1
Ba2 Ba 0.000 0.000 0.371 1
Al1 Al 0.000 0.000 0.668 1
W1 W 0.500 0.500 0.184 1
W2 W 0.500 0.500 0.577 1
W3 W 0.500 0.500 0.813 1
O1 O 0.000 0.500 0.518 1
O2 O 0.000 0.500 0.852 1
O3 O 0.500 0.000 0.185 1
O4 O 0.500 0.000 0.546 1
O5 O 0.500 0.000 0.836 1
O6 O 0.500 0.500 0.031 1
O7 O 0.500 0.500 0.337 1

***

Name the most stable of them. version i.